Density functional theory data (PBE-GGA) for a relaxed Pr27Se40 crystal.

SG: P1, No. 1
Theoretical density (g/cm3): 6.32
Crystal system: triclinic

Lattice parameters (Å, degrees): 7.803 12.748 19.645 71.07 82.34 89.85
Fractional coordinates of all 67 atoms:
Pr: 0.000 0.000 0.000
Pr: 0.011 0.718 0.925
Pr: 0.044 0.200 0.350
Pr: 0.086 0.014 0.200
Pr: 0.118 0.367 0.122
Pr: 0.141 0.470 0.545
Pr: 0.192 0.788 0.403
Pr: 0.237 0.989 0.748
Pr: 0.313 0.161 0.526
Pr: 0.386 0.588 0.799
Pr: 0.409 0.316 0.732
Pr: 0.432 0.786 0.155
Pr: 0.487 0.616 0.000
Pr: 0.510 0.974 0.926
Pr: 0.536 0.067 0.352
Pr: 0.585 0.394 0.203
Pr: 0.612 0.123 0.121
Pr: 0.634 0.601 0.549
Pr: 0.689 0.422 0.397
Pr: 0.714 0.767 0.328
Pr: 0.741 0.868 0.749
Pr: 0.785 0.191 0.601
Pr: 0.814 0.912 0.529
Pr: 0.838 0.387 0.950
Pr: 0.890 0.220 0.800
Pr: 0.923 0.571 0.721
Pr: 0.947 0.662 0.156
Se: 0.001 0.698 0.556
Se: 0.008 0.995 0.626
Se: 0.030 0.316 0.470
Se: 0.100 0.757 0.257
Se: 0.101 0.754 0.759
Se: 0.108 0.396 0.824
Se: 0.136 0.222 0.666
Se: 0.199 0.006 0.452
Se: 0.201 0.509 0.954
Se: 0.211 0.793 0.025
Se: 0.230 0.122 0.861
Se: 0.305 0.544 0.656
Se: 0.306 0.553 0.152
Se: 0.311 0.192 0.225
Se: 0.336 0.015 0.069
Se: 0.405 0.297 0.358
Se: 0.407 0.805 0.856
Se: 0.422 0.593 0.425
Se: 0.434 0.923 0.265
Se: 0.502 0.351 0.554
Se: 0.505 0.357 0.057
Se: 0.521 0.994 0.626
Se: 0.536 0.828 0.462
Se: 0.606 0.103 0.757
Se: 0.614 0.606 0.254
Se: 0.623 0.394 0.824
Se: 0.638 0.720 0.669
Se: 0.708 0.150 0.456
Se: 0.710 0.793 0.025
Se: 0.713 0.149 0.955
Se: 0.732 0.620 0.867
Se: 0.799 0.904 0.154
Se: 0.805 0.403 0.653
Se: 0.809 0.191 0.226
Se: 0.835 0.523 0.066
Se: 0.901 0.953 0.855
Se: 0.906 0.593 0.427
Se: 0.908 0.953 0.355
Se: 0.931 0.422 0.261
Se: 0.999 0.199 0.058

Density functional theory data (PBE-GGA) for a relaxed ZrRh3 crystal.

SG: Pm-3m, No. 221
Theoretical density (g/cm3): 10.59
Crystal system: cubic

Lattice parameters (Å, degrees): 3.973 3.973 3.973 90.00 90.00 90.00
Fractional coordinates of all 4 atoms:
Zr: 0.000 0.000 0.000
Rh: 0.000 0.500 0.500
Rh: 0.500 0.000 0.500
Rh: 0.500 0.500 0.000

Density functional theory data (PBE-GGA) for a relaxed Nd2Ta2Cl2O7 crystal.

SG: C2/m, No. 12
Theoretical density (g/cm3): 7.07
Crystal system: monoclinic

Lattice parameters (Å, degrees): 8.028 8.028 6.953 113.04 113.04 28.52
Fractional coordinates of all 13 atoms:
Nd: 0.193 0.193 0.164
Nd: 0.807 0.807 0.836
Ta: 0.465 0.465 0.201
Ta: 0.535 0.535 0.799
Cl: 0.179 0.179 0.566
Cl: 0.821 0.821 0.434
O: 0.046 0.046 0.837
O: 0.325 0.325 0.069
O: 0.419 0.419 0.847
O: 0.500 0.500 0.500
O: 0.581 0.581 0.153
O: 0.675 0.675 0.931
O: 0.954 0.954 0.163

Density functional theory data (PBE-GGA) for a relaxed MgSc2Tl crystal.

SG: Fm-3m, No. 225
Theoretical density (g/cm3): 5.76
Crystal system: cubic

Lattice parameters (Å, degrees): 7.161 7.161 7.161 90.00 90.00 90.00
Fractional coordinates of all 16 atoms:
Mg: 0.000 0.000 0.000
Mg: 0.000 0.500 0.500
Mg: 0.500 0.000 0.500
Mg: 0.500 0.500 0.000
Sc: 0.250 0.250 0.250
Sc: 0.250 0.250 0.750
Sc: 0.250 0.750 0.250
Sc: 0.250 0.750 0.750
Sc: 0.750 0.250 0.250
Sc: 0.750 0.250 0.750
Sc: 0.750 0.750 0.250
Sc: 0.750 0.750 0.750
Tl: 0.000 0.000 0.500
Tl: 0.000 0.500 0.000
Tl: 0.500 0.000 0.000
Tl: 0.500 0.500 0.500

Density functional theory data (PBE-GGA) for a relaxed LuTlTe2 crystal.

SG: R-3m, No. 166
Theoretical density (g/cm3): 7.71
Crystal system: trigonal

Lattice parameters (Å, degrees): 4.378 4.378 24.694 90.00 90.00 120.00
Fractional coordinates of all 12 atoms:
Lu: 0.000 0.000 0.000
Lu: 0.333 0.667 0.667
Lu: 0.667 0.333 0.333
Tl: 0.000 0.000 0.500
Tl: 0.333 0.667 0.167
Tl: 0.667 0.333 0.833
Te: 0.000 0.000 0.264
Te: 0.000 0.000 0.736
Te: 0.333 0.667 0.403
Te: 0.333 0.667 0.931
Te: 0.667 0.333 0.069
Te: 0.667 0.333 0.597

Density functional theory data (PBE-GGA) for a relaxed MgH3 crystal.

SG: Fm-3m, No. 225
Theoretical density (g/cm3): 1.74
Crystal system: cubic

Lattice parameters (Å, degrees): 4.705 4.705 4.705 90.00 90.00 90.00
Fractional coordinates of all 16 atoms:
Mg: 0.000 0.000 0.000
Mg: 0.000 0.500 0.500
Mg: 0.500 0.000 0.500
Mg: 0.500 0.500 0.000
H: 0.000 0.000 0.500
H: 0.000 0.500 0.000
H: 0.250 0.250 0.250
H: 0.250 0.250 0.750
H: 0.250 0.750 0.250
H: 0.250 0.750 0.750
H: 0.500 0.000 0.000
H: 0.500 0.500 0.500
H: 0.750 0.250 0.250
H: 0.750 0.250 0.750
H: 0.750 0.750 0.250
H: 0.750 0.750 0.750

Density functional theory data (PBE-GGA) for a relaxed BaZnO3 crystal.

SG: Pm-3m, No. 221
Theoretical density (g/cm3): 5.98
Crystal system: cubic

Lattice parameters (Å, degrees): 4.115 4.115 4.115 90.00 90.00 90.00
Fractional coordinates of all 5 atoms:
Ba: 0.000 0.000 0.000
Zn: 0.500 0.500 0.500
O: 0.000 0.500 0.500
O: 0.500 0.000 0.500
O: 0.500 0.500 0.000

Density functional theory data (PBE-GGA) for a relaxed Li2AcIn crystal.

SG: Fm-3m, No. 225
Theoretical density (g/cm3): 5.96
Crystal system: cubic

Lattice parameters (Å, degrees): 7.347 7.347 7.347 90.00 90.00 90.00
Fractional coordinates of all 16 atoms:
Li: 0.250 0.250 0.250
Li: 0.250 0.250 0.750
Li: 0.250 0.750 0.250
Li: 0.250 0.750 0.750
Li: 0.750 0.250 0.250
Li: 0.750 0.250 0.750
Li: 0.750 0.750 0.250
Li: 0.750 0.750 0.750
Ac: 0.000 0.000 0.000
Ac: 0.000 0.500 0.500
Ac: 0.500 0.000 0.500
Ac: 0.500 0.500 0.000
In: 0.000 0.000 0.500
In: 0.000 0.500 0.000
In: 0.500 0.000 0.000
In: 0.500 0.500 0.500

Density functional theory data (PBE-GGA) for a relaxed BaSn crystal.

SG: Cmcm, No. 63
Theoretical density (g/cm3): 5.24
Crystal system: orthorhombic

Lattice parameters (Å, degrees): 5.374 12.776 4.725 90.00 90.00 90.00
Fractional coordinates of all 8 atoms:
Ba: 0.000 0.136 0.250
Ba: 0.000 0.864 0.750
Ba: 0.500 0.364 0.750
Ba: 0.500 0.636 0.250
Sn: 0.000 0.427 0.250
Sn: 0.000 0.573 0.750
Sn: 0.500 0.073 0.750
Sn: 0.500 0.927 0.250

Density functional theory data (PBE-GGA) for a relaxed Na2SiSn2P2O12 crystal.

SG: Cc, No. 9
Theoretical density (g/cm3): 3.61
Crystal system: monoclinic

Lattice parameters (Å, degrees): 8.866 8.866 22.856 90.03 90.03 60.18
Fractional coordinates of all 114 atoms:
Na: 0.000 0.000 0.000
Na: 0.000 0.000 0.500
Na: 0.002 0.634 0.250
Na: 0.031 0.671 0.918
Na: 0.330 0.337 0.333
Na: 0.337 0.330 0.833
Na: 0.337 0.971 0.585
Na: 0.634 0.002 0.750
Na: 0.662 0.672 0.167
Na: 0.671 0.031 0.418
Na: 0.672 0.662 0.667
Na: 0.971 0.337 0.085
Si: 0.002 0.291 0.249
Si: 0.045 0.630 0.083
Si: 0.291 0.002 0.749
Si: 0.630 0.045 0.583
Si: 0.666 0.965 0.916
Si: 0.965 0.666 0.416
Sn: 0.002 0.008 0.852
Sn: 0.003 0.998 0.148
Sn: 0.008 0.002 0.352
Sn: 0.332 0.336 0.685
Sn: 0.332 0.341 0.481
Sn: 0.336 0.332 0.185
Sn: 0.341 0.332 0.981
Sn: 0.662 0.671 0.814
Sn: 0.668 0.676 0.019
Sn: 0.671 0.662 0.314
Sn: 0.676 0.668 0.519
Sn: 0.998 0.003 0.648
P: 0.005 0.708 0.751
P: 0.042 0.338 0.583
P: 0.297 0.711 0.250
P: 0.336 0.626 0.584
P: 0.338 0.042 0.083
P: 0.377 0.958 0.417
P: 0.379 0.668 0.917
P: 0.626 0.336 0.084
P: 0.668 0.379 0.417
P: 0.708 0.005 0.251
P: 0.711 0.297 0.750
P: 0.958 0.377 0.917
O: 0.024 0.822 0.089
O: 0.033 0.167 0.589
O: 0.036 0.786 0.807
O: 0.039 0.173 0.307
O: 0.119 0.374 0.638
O: 0.124 0.508 0.141
O: 0.138 0.368 0.922
O: 0.156 0.494 0.422
O: 0.159 0.545 0.023
O: 0.160 0.297 0.529
O: 0.167 0.033 0.089
O: 0.169 0.529 0.743
O: 0.173 0.039 0.807
O: 0.173 0.320 0.245
O: 0.176 0.812 0.589
O: 0.178 0.785 0.304
O: 0.194 0.830 0.911
O: 0.196 0.978 0.412
O: 0.213 0.967 0.689
O: 0.217 0.822 0.195
O: 0.297 0.160 0.029
O: 0.300 0.550 0.528
O: 0.311 0.530 0.244
O: 0.320 0.173 0.745
O: 0.352 0.508 0.922
O: 0.368 0.138 0.422
O: 0.368 0.515 0.639
O: 0.374 0.119 0.138
O: 0.453 0.849 0.473
O: 0.458 0.701 0.972
O: 0.476 0.696 0.257
O: 0.489 0.832 0.754
O: 0.491 0.631 0.862
O: 0.494 0.156 0.922
O: 0.495 0.879 0.362
O: 0.497 0.860 0.078
O: 0.499 0.648 0.577
O: 0.508 0.124 0.641
O: 0.508 0.352 0.422
O: 0.515 0.368 0.139
O: 0.529 0.169 0.243
O: 0.530 0.311 0.744
O: 0.545 0.159 0.523
O: 0.550 0.300 0.028
O: 0.631 0.491 0.362
O: 0.635 0.857 0.578
O: 0.636 0.882 0.856
O: 0.648 0.499 0.077
O: 0.693 0.838 0.256
O: 0.696 0.476 0.757
O: 0.701 0.458 0.472
O: 0.715 0.837 0.972
O: 0.785 0.178 0.804
O: 0.786 0.036 0.307
O: 0.812 0.176 0.089
O: 0.822 0.024 0.589
O: 0.822 0.217 0.695
O: 0.827 0.962 0.197
O: 0.830 0.194 0.411
O: 0.832 0.489 0.254
O: 0.837 0.715 0.472
O: 0.838 0.693 0.756
O: 0.849 0.453 0.973
O: 0.849 0.972 0.910
O: 0.857 0.635 0.078
O: 0.860 0.497 0.578
O: 0.879 0.495 0.862
O: 0.882 0.636 0.356
O: 0.962 0.827 0.697
O: 0.967 0.213 0.189
O: 0.972 0.849 0.410
O: 0.978 0.196 0.912

Formation enthalpy at 0 K values (in eV per atom) by entry order: -2.17 -0.67 -3.34 -0.19 -1.22 0.20 -1.84 -0.25 -0.70 -2.55.
Raw total energy values (in eV/atom) by entry order: -5.904 -8.334 -8.480 -4.350 -4.297 -2.612 -5.037 -2.923 -3.667 -6.660.